1.
Entry from the Materials Project: a geometry-optimized Sm2CdSe4 structure (PBE).

**Maximum piezoelectric response**: 32.50 C/m²
**Energy relative to the elements**: -1.69 eV/atom

a b c (Å): 7.714 7.714 7.714
angles (deg): 110.68 110.68 107.09
Atoms (fractional coordinates):
Sm 0.010 0.125 0.385
Sm 0.375 0.990 0.115
Sm 0.740 0.625 0.615
Sm 0.875 0.260 0.885
Cd 0.250 0.750 0.500
Cd 0.500 0.500 0.000
Se 0.006 0.745 0.124
Se 0.118 0.994 0.739
Se 0.130 0.505 0.761
Se 0.255 0.380 0.261
Se 0.495 0.256 0.624
Se 0.620 0.882 0.876
Se 0.632 0.870 0.376
Se 0.744 0.368 0.239

2.
Entry from the Materials Project: a geometry-optimized Sm8Ni18P11 structure (PBE).

**Energy relative to the elements**: -0.95 eV/atom

a b c (Å): 18.137 18.137 3.889
angles (deg): 90.00 90.00 120.00
Atoms (fractional coordinates):
Sm 0.000 0.000 0.000
Sm 0.001 0.218 0.000
Sm 0.001 0.783 0.000
Sm 0.046 0.523 0.500
Sm 0.217 0.218 0.000
Sm 0.217 0.999 0.000
Sm 0.260 0.520 0.500
Sm 0.260 0.740 0.500
Sm 0.441 0.221 0.000
Sm 0.477 0.523 0.500
Sm 0.477 0.954 0.500
Sm 0.480 0.740 0.500
Sm 0.779 0.221 0.000
Sm 0.779 0.559 0.000
Sm 0.782 0.783 0.000
Sm 0.782 0.999 0.000
Ni 0.073 0.146 0.500
Ni 0.073 0.927 0.500
Ni 0.076 0.370 0.500
Ni 0.076 0.706 0.500
Ni 0.184 0.368 0.000
Ni 0.184 0.816 0.000
Ni 0.188 0.594 0.000
Ni 0.289 0.144 0.500
Ni 0.294 0.370 0.500
Ni 0.294 0.924 0.500
Ni 0.400 0.030 0.000
Ni 0.400 0.370 0.000
Ni 0.406 0.594 0.000
Ni 0.406 0.812 0.000
Ni 0.498 0.129 0.500
Ni 0.498 0.368 0.500
Ni 0.579 0.290 0.500
Ni 0.616 0.232 0.000
Ni 0.616 0.384 0.000
Ni 0.630 0.030 0.000
Ni 0.630 0.600 0.000
Ni 0.630 0.706 0.500
Ni 0.630 0.924 0.500
Ni 0.632 0.129 0.500
Ni 0.632 0.502 0.500
Ni 0.632 0.816 0.000
Ni 0.710 0.290 0.500
Ni 0.710 0.421 0.500
Ni 0.768 0.384 0.000
Ni 0.854 0.927 0.500
Ni 0.856 0.144 0.500
Ni 0.856 0.711 0.500
Ni 0.871 0.368 0.500
Ni 0.871 0.502 0.500
Ni 0.970 0.370 0.000
Ni 0.970 0.600 0.000
P 0.118 0.451 0.000
P 0.118 0.668 0.000
P 0.144 0.072 0.500
P 0.145 0.290 0.500
P 0.145 0.855 0.500
P 0.332 0.451 0.000
P 0.332 0.882 0.000
P 0.333 0.667 0.000
P 0.358 0.072 0.500
P 0.358 0.286 0.500
P 0.547 0.094 0.000
P 0.547 0.453 0.000
P 0.549 0.668 0.000
P 0.549 0.882 0.000
P 0.710 0.855 0.500
P 0.714 0.072 0.500
P 0.714 0.642 0.500
P 0.906 0.453 0.000
P 0.928 0.072 0.500
P 0.928 0.286 0.500
P 0.928 0.642 0.500
P 0.928 0.856 0.500